{"formula": "YUB8", "functional": "PBE-GGA", "state": "optimized geometry", "magnetic_moment_mub_per_fu": 1.50, "formation_energy_mev_per_atom": -526.1, "final_energy_ev_per_atom": -7.645, "cell": [[5.0105, -5.0131, 0.0000], [5.0105, 5.0131, 0.0000], [0.0000, 0.0000, 3.9810]], "species": ["Y", "Y", "U", "U", "B", "B", "B", "B", "B", "B", "B", "B", "B", "B", "B", "B", "B", "B", "B", "B"], "frac_coords": [[0.1857, 0.8143, 0.0000], [0.8143, 0.1857, 0.0000], [0.3109, 0.3109, 0.0000], [0.6891, 0.6891, 0.0000], [0.0000, 0.5000, 0.2011], [0.0000, 0.5000, 0.7989], [0.0421, 0.3230, 0.5000], [0.0886, 0.0886, 0.5000], [0.1785, 0.5346, 0.5000], [0.3230, 0.0421, 0.5000], [0.4137, 0.5863, 0.5000], [0.4654, 0.8215, 0.5000], [0.5000, 0.0000, 0.2011], [0.5000, 0.0000, 0.7989], [0.5346, 0.1785, 0.5000], [0.5863, 0.4137, 0.5000], [0.6770, 0.9579, 0.5000], [0.8215, 0.4654, 0.5000], [0.9114, 0.9114, 0.5000], [0.9579, 0.6770, 0.5000]]}

{"formula": "V3B4", "functional": "PBE-GGA", "state": "optimized geometry", "formation_energy_mev_per_atom": -818.8, "final_energy_ev_per_atom": -8.529, "cell": [[2.9811, 0.0000, 0.0000], [0.0000, 3.0430, 0.0000], [0.0000, 0.0000, 13.2270]], "species": ["V", "V", "V", "V", "V", "V", "B", "B", "B", "B", "B", "B", "B", "B"], "frac_coords": [[0.0000, 0.0000, 0.0000], [0.0000, 0.5000, 0.3125], [0.0000, 0.5000, 0.6875], [0.5000, 0.0000, 0.1875], [0.5000, 0.0000, 0.8125], [0.5000, 0.5000, 0.5000], [0.0000, 0.0000, 0.4345], [0.0000, 0.0000, 0.5655], [0.0000, 0.5000, 0.1364], [0.0000, 0.5000, 0.8636], [0.5000, 0.0000, 0.3636], [0.5000, 0.0000, 0.6364], [0.5000, 0.5000, 0.0655], [0.5000, 0.5000, 0.9345]]}